[1]
{"formula": "CdBiBF10", "functional": "PBE", "state": "optimized geometry", "formation_enthalpy_0k_ev_per_atom": -2.5581, "final_energy_ev_per_atom": -4.559, "sg": "P2_1/c, No. 14", "vol_a3_per_atom": 14.607, "cell": [[8.574, 0.000, 0.000], [0.000, 9.620, 0.000], [-0.691, 0.000, 9.210]], "species": ["Cd", "Cd", "Cd", "Cd", "Bi", "Bi", "Bi", "Bi", "B", "B", "B", "B", "F", "F", "F", "F", "F", "F", "F", "F", "F", "F", "F", "F", "F", "F", "F", "F", "F", "F", "F", "F", "F", "F", "F", "F", "F", "F", "F", "F", "F", "F", "F", "F", "F", "F", "F", "F", "F", "F", "F", "F"], "fractional_positions": [[0.174, 0.021, 0.284], [0.174, 0.479, 0.784], [0.826, 0.521, 0.216], [0.826, 0.979, 0.716], [0.336, 0.066, 0.737], [0.336, 0.434, 0.237], [0.664, 0.566, 0.763], [0.664, 0.934, 0.263], [0.059, 0.731, 0.504], [0.059, 0.769, 0.004], [0.941, 0.231, 0.996], [0.941, 0.269, 0.496], [0.030, 0.149, 0.099], [0.030, 0.351, 0.599], [0.042, 0.191, 0.413], [0.042, 0.309, 0.913], [0.093, 0.056, 0.721], [0.093, 0.444, 0.221], [0.152, 0.642, 0.597], [0.152, 0.858, 0.097], [0.158, 0.678, 0.933], [0.158, 0.822, 0.433], [0.321, 0.219, 0.235], [0.321, 0.281, 0.735], [0.323, 0.072, 0.513], [0.323, 0.428, 0.013], [0.343, 0.642, 0.237], [0.343, 0.858, 0.737], [0.345, 0.078, 0.955], [0.345, 0.422, 0.455], [0.423, 0.571, 0.763], [0.423, 0.929, 0.263], [0.577, 0.071, 0.737], [0.577, 0.429, 0.237], [0.655, 0.578, 0.545], [0.655, 0.922, 0.045], [0.657, 0.142, 0.263], [0.657, 0.358, 0.763], [0.677, 0.572, 0.987], [0.677, 0.928, 0.487], [0.679, 0.719, 0.265], [0.679, 0.781, 0.765], [0.842, 0.178, 0.567], [0.842, 0.322, 0.067], [0.848, 0.142, 0.903], [0.848, 0.358, 0.403], [0.907, 0.556, 0.779], [0.907, 0.944, 0.279], [0.958, 0.691, 0.087], [0.958, 0.809, 0.587], [0.970, 0.649, 0.401], [0.970, 0.851, 0.901]]}

---

[2]
{"formula": "Cd4BiB3O10", "functional": "PBE", "state": "optimized geometry", "formation_enthalpy_0k_ev_per_atom": -2.0708, "final_energy_ev_per_atom": -5.972, "sg": "Cm, No. 8", "vol_a3_per_atom": 12.712, "cell": [[4.064, -8.020, 0.000], [4.064, 8.020, 0.000], [-0.637, 0.000, 3.510]], "species": ["Cd", "Cd", "Cd", "Cd", "Bi", "B", "B", "B", "O", "O", "O", "O", "O", "O", "O", "O", "O", "O"], "fractional_positions": [[0.115, 0.885, 0.000], [0.198, 0.555, 0.682], [0.555, 0.198, 0.682], [0.885, 0.115, 0.000], [0.644, 0.644, 0.333], [0.262, 0.262, 0.620], [0.497, 0.895, 0.250], [0.895, 0.497, 0.250], [0.027, 0.676, 0.447], [0.103, 0.254, 0.567], [0.254, 0.103, 0.567], [0.407, 0.953, 0.048], [0.410, 0.704, 0.248], [0.435, 0.435, 0.730], [0.676, 0.027, 0.447], [0.704, 0.410, 0.248], [0.829, 0.829, 0.911], [0.953, 0.407, 0.048]]}

---

[3]
{"formula": "Cu5Bi2B4O14", "functional": "PBE", "state": "optimized geometry", "formation_enthalpy_0k_ev_per_atom": -1.8224, "final_energy_ev_per_atom": -6.408, "sg": "P1, No. 1", "vol_a3_per_atom": 12.502, "cell": [[3.621, 0.000, 0.000], [1.204, 9.184, 0.000], [1.479, 3.783, 9.398]], "species": ["Cu", "Cu", "Cu", "Cu", "Cu", "Bi", "Bi", "B", "B", "B", "B", "O", "O", "O", "O", "O", "O", "O", "O", "O", "O", "O", "O", "O", "O"], "fractional_positions": [[0.000, 0.000, 0.000], [0.011, 0.499, 0.502], [0.058, 0.179, 0.655], [0.507, 0.999, 0.500], [0.939, 0.819, 0.349], [0.483, 0.645, 0.173], [0.519, 0.356, 0.828], [0.151, 0.297, 0.331], [0.502, 0.138, 0.191], [0.510, 0.864, 0.810], [0.867, 0.704, 0.673], [0.022, 0.449, 0.319], [0.068, 0.199, 0.836], [0.134, 0.175, 0.460], [0.306, 0.274, 0.205], [0.346, 0.658, 0.384], [0.397, 0.987, 0.692], [0.421, 0.868, 0.943], [0.583, 0.133, 0.058], [0.612, 0.014, 0.308], [0.659, 0.345, 0.617], [0.719, 0.730, 0.797], [0.882, 0.824, 0.543], [0.938, 0.803, 0.166], [0.993, 0.552, 0.685]]}

---

[4]
{"formula": "BiBOF4", "functional": "PBE", "state": "optimized geometry", "formation_enthalpy_0k_ev_per_atom": -2.7142, "final_energy_ev_per_atom": -5.663, "sg": "Aem2, No. 39", "vol_a3_per_atom": 12.572, "cell": [[9.470, 0.000, 0.000], [0.000, 3.028, 3.069], [0.000, -3.028, 3.069]], "species": ["Bi", "Bi", "B", "B", "O", "O", "F", "F", "F", "F", "F", "F", "F", "F"], "fractional_positions": [[0.122, 0.250, 0.750], [0.878, 0.750, 0.250], [0.336, 0.732, 0.232], [0.664, 0.232, 0.732], [0.000, 0.315, 0.315], [0.000, 0.815, 0.815], [0.207, 0.878, 0.378], [0.314, 0.413, 0.293], [0.314, 0.793, 0.913], [0.458, 0.844, 0.344], [0.542, 0.344, 0.844], [0.686, 0.293, 0.413], [0.686, 0.913, 0.793], [0.793, 0.378, 0.878]]}